1.
Compound: DyGa3
Source: the Materials Project
Functional: GGA-PBE
Structure: relaxed

Properties
The calculation puts the uncorrected energy at -0.291 Ry per atom.

Cell lengths 6.1934, 6.1934, 23.5249 Å; angles 90.00, 90.00, 120.00 degrees
Space group P6_3/mmc (No. 194)
Symmetry-distinct sites (fractional):
Dy 0.0000 0.0000 0.2500 [2 per cell]
Dy 0.3333 0.6667 0.0446 [4 per cell]
Dy 0.3333 0.6667 0.6490 [4 per cell]
Ga 0.0351 0.5176 0.2500 [6 per cell]
Ga 0.1456 0.2913 0.5510 [12 per cell]
Ga 0.1703 0.3405 0.1488 [12 per cell]

2.
Compound: DyGa3
Source: the Materials Project
Functional: GGA-PBE
Structure: relaxed

Properties
The calculation puts the uncorrected energy at -0.291 Ry per atom.

Cell lengths 4.2710, 4.2710, 4.2710 Å; angles 90.00, 90.00, 90.00 degrees
Space group Pm-3m (No. 221)
Symmetry-distinct sites (fractional):
Dy 0.0000 0.0000 0.0000 [1 per cell]
Ga 0.0000 0.5000 0.5000 [3 per cell]

3.
Compound: DyMn6GaGe5
Source: the Materials Project
Functional: GGA-PBE
Structure: relaxed

Properties
The calculation puts the uncorrected energy at -0.507 Ry per atom.

Cell lengths 5.1707, 5.1707, 8.2195 Å; angles 90.00, 90.00, 120.00 degrees
Space group P-6m2 (No. 187)
Symmetry-distinct sites (fractional):
Dy 0.0000 0.0000 0.0000 [1 per cell]
Mn 0.0008 0.5004 0.2479 [6 per cell]
Ga 0.6667 0.3333 0.5000 [1 per cell]
Ge 0.0000 0.0000 0.3430 [2 per cell]
Ge 0.3333 0.6667 0.0000 [1 per cell]
Ge 0.3333 0.6667 0.5000 [1 per cell]
Ge 0.6667 0.3333 0.0000 [1 per cell]